# BaCuN (PBE, relaxed)
data_BaCuN
_symmetry_space_group_name_H-M 'C 1 2/c 1'
_symmetry_Int_Tables_number 15
_cell_length_a 14.573
_cell_length_b 5.617
_cell_length_c 9.563
_cell_angle_alpha 90.00
_cell_angle_beta 102.83
_cell_angle_gamma 90.00
loop_
_symmetry_equiv_pos_as_xyz
'x,y,z'
'-x,-y,-z'
'-x,y,-z+1/2'
'x,-y,z+1/2'
'x+1/2,y+1/2,z'
'-x+1/2,-y+1/2,-z'
'-x+1/2,y+1/2,-z+1/2'
'x+1/2,-y+1/2,z+1/2'
loop_
_atom_site_label
_atom_site_type_symbol
_atom_site_fract_x
_atom_site_fract_y
_atom_site_fract_z
Ba1 Ba 0.000 0.218 0.250
Ba2 Ba 0.168 0.262 0.629
Cu1 Cu 0.074 0.268 0.941
Cu2 Cu 0.250 0.250 0.000
N1 N 0.000 0.500 0.000
N2 N 0.159 0.042 0.894
# - ΔE_f (kcal/mol of atoms) = -10.80
# - V (A^3/atom) = 21.20
# - total energy (eV/atom) = -5.133
# - MP2020-corrected energy (eV per atom) = -5.253